No. 1
The following is a PBE with a Hubbard U calculation of crystalline Ti4CoP6O24 at its relaxed geometry, from the Materials Project.

Its energy with MP2020 corrections is -0.3063 Ha/atom. As for the formation energy: -2.909 eV per atom. The total energy comes out at -7.82 eV/atom. For the density, the calculation gives 3.01 g cm⁻³. As for the symmetry: No. 148.

Cell: 8.583 8.583 8.583 Å, 60.47 60.47 60.47°
Positions (direct):
Ti: 0.354 0.354 0.354
Ti: 0.866 0.866 0.866
Ti: 0.646 0.646 0.646
Ti: 0.134 0.134 0.134
Co: 0.500 0.500 0.500
P: 0.954 0.532 0.254
P: 0.254 0.954 0.532
P: 0.532 0.254 0.954
P: 0.746 0.046 0.468
P: 0.468 0.746 0.046
P: 0.046 0.468 0.746
O: 0.239 0.450 0.580
O: 0.580 0.239 0.450
O: 0.450 0.580 0.239
O: 0.091 0.939 0.721
O: 0.721 0.091 0.939
O: 0.939 0.721 0.091
O: 0.761 0.550 0.420
O: 0.420 0.761 0.550
O: 0.550 0.420 0.761
O: 0.909 0.061 0.279
O: 0.279 0.909 0.061
O: 0.061 0.279 0.909
O: 0.117 0.492 0.316
O: 0.316 0.117 0.492
O: 0.492 0.316 0.117
O: 0.799 0.003 0.634
O: 0.634 0.799 0.003
O: 0.003 0.634 0.799
O: 0.883 0.508 0.684
O: 0.684 0.883 0.508
O: 0.508 0.684 0.883
O: 0.201 0.997 0.366
O: 0.366 0.201 0.997
O: 0.997 0.366 0.201

***

No. 2
The following is a PBE with a Hubbard U calculation of crystalline TiCoP2O8 at its relaxed geometry, from the Materials Project.

Its energy with MP2020 corrections is -0.2975 Ha/atom. As for the formation energy: -2.643 eV per atom. The total energy comes out at -7.50 eV/atom. For the density, the calculation gives 3.31 g cm⁻³. As for the symmetry: No. 146.

Cell: 8.530 8.530 8.530 Å, 60.82 60.82 60.82°
Positions (direct):
Ti: 0.356 0.356 0.356
Ti: 0.142 0.142 0.142
Ti: 0.644 0.644 0.644
Co: 0.998 0.998 0.998
Co: 0.858 0.858 0.858
Co: 0.498 0.498 0.498
P: 0.751 0.044 0.460
P: 0.044 0.460 0.751
P: 0.460 0.751 0.044
P: 0.546 0.248 0.956
P: 0.956 0.546 0.248
P: 0.248 0.956 0.546
O: 0.881 0.505 0.685
O: 0.505 0.685 0.881
O: 0.685 0.881 0.505
O: 0.912 0.055 0.262
O: 0.813 0.010 0.615
O: 0.588 0.239 0.436
O: 0.055 0.262 0.912
O: 0.239 0.436 0.588
O: 0.382 0.182 0.004
O: 0.436 0.588 0.239
O: 0.739 0.090 0.947
O: 0.004 0.382 0.182
O: 0.010 0.615 0.813
O: 0.262 0.912 0.055
O: 0.557 0.411 0.761
O: 0.615 0.813 0.010
O: 0.761 0.557 0.411
O: 0.947 0.739 0.090
O: 0.411 0.761 0.557
O: 0.182 0.004 0.382
O: 0.090 0.947 0.739
O: 0.319 0.117 0.493
O: 0.493 0.319 0.117
O: 0.117 0.493 0.319

***

What did the second record say?
The following is a PBE with a Hubbard U calculation of crystalline TiCoP2O8 at its relaxed geometry, from the Materials Project.

Its energy with MP2020 corrections is -0.2975 Ha/atom. As for the formation energy: -2.643 eV per atom. The total energy comes out at -7.50 eV/atom. For the density, the calculation gives 3.31 g cm⁻³. As for the symmetry: No. 146.

Cell: 8.530 8.530 8.530 Å, 60.82 60.82 60.82°
Positions (direct):
Ti: 0.356 0.356 0.356
Ti: 0.142 0.142 0.142
Ti: 0.644 0.644 0.644
Co: 0.998 0.998 0.998
Co: 0.858 0.858 0.858
Co: 0.498 0.498 0.498
P: 0.751 0.044 0.460
P: 0.044 0.460 0.751
P: 0.460 0.751 0.044
P: 0.546 0.248 0.956
P: 0.956 0.546 0.248
P: 0.248 0.956 0.546
O: 0.881 0.505 0.685
O: 0.505 0.685 0.881
O: 0.685 0.881 0.505
O: 0.912 0.055 0.262
O: 0.813 0.010 0.615
O: 0.588 0.239 0.436
O: 0.055 0.262 0.912
O: 0.239 0.436 0.588
O: 0.382 0.182 0.004
O: 0.436 0.588 0.239
O: 0.739 0.090 0.947
O: 0.004 0.382 0.182
O: 0.010 0.615 0.813
O: 0.262 0.912 0.055
O: 0.557 0.411 0.761
O: 0.615 0.813 0.010
O: 0.761 0.557 0.411
O: 0.947 0.739 0.090
O: 0.411 0.761 0.557
O: 0.182 0.004 0.382
O: 0.090 0.947 0.739
O: 0.319 0.117 0.493
O: 0.493 0.319 0.117
O: 0.117 0.493 0.319

***

> What is the formation energy in the second record?

-2.643 eV per atom

***

> The lowest formation energy belongs to which entry?

Ti4CoP6O24

***

> What is the total energy in the first record?

-7.82 eV/atom